No. 1
This record from the Materials Project describes crystalline Mn6OF11 at its relaxed geometry. The functional is PBE with a Hubbard U.

a b c (Å): 4.9647 5.8974 16.2140
angles (deg): 90.33 90.67 90.60
Space group P-1 (No. 2)
One atom of each set of equivalent atoms:
Mn (0.0020, 0.3278, 0.4167) x2
Mn (0.0084, 0.3537, 0.7527) x2
Mn (0.0129, 0.6640, 0.9122) x2
Mn (0.4780, 0.8113, 0.7566) x2
Mn (0.4895, 0.1715, 0.9174) x2
Mn (0.4911, 0.8334, 0.4126) x2
O (0.2066, 0.5874, 0.8036) x2
F (0.2205, 0.3876, 0.6421) x2
F (0.2244, 0.3881, 0.9799) x2
F (0.2302, 0.6074, 0.4742) x2
F (0.2328, 0.6196, 0.1438) x2
F (0.2360, 0.3933, 0.3082) x2
F (0.2494, 0.8760, 0.3005) x2
F (0.2597, 0.1080, 0.8046) x2
F (0.2719, 0.1045, 0.4745) x2
F (0.2718, 0.8912, 0.9735) x2
F (0.2836, 0.8905, 0.6412) x2
F (0.2850, 0.1126, 0.1381) x2

Values from the calculation:
Formation energy   -2831 meV per atom
E above lowest polymorph   33 kJ/mol of formula units

No. 2
This record from the Materials Project describes crystalline Mn8O13F3 at its relaxed geometry. The functional is PBE with a Hubbard U.

a b c (Å): 5.5454 6.7083 6.7389
angles (deg): 95.82 91.55 91.41
Space group P1 (No. 1)
One atom of each set of equivalent atoms:
Mn (0.0000, 0.0000, 0.0000) x1
Mn (0.0040, 0.4978, 0.4902) x1
Mn (0.1895, 0.5054, 0.9922) x1
Mn (0.2085, 0.9983, 0.4803) x1
Mn (0.4991, 0.7644, 0.7350) x1
Mn (0.5065, 0.2633, 0.2322) x1
Mn (0.7044, 0.2506, 0.7354) x1
Mn (0.7221, 0.7381, 0.2341) x1
O (0.2430, 0.7843, 0.9402) x1
O (0.2447, 0.2210, 0.0317) x1
O (0.2494, 0.7177, 0.5298) x1
O (0.2530, 0.2802, 0.4335) x1
O (0.4726, 0.0298, 0.6807) x1
O (0.4731, 0.5325, 0.1835) x1
O (0.7455, 0.1997, 0.0168) x1
O (0.7484, 0.2942, 0.4512) x1
O (0.7493, 0.7936, 0.9541) x1
O (0.7515, 0.7015, 0.5149) x1
O (0.9647, 0.5464, 0.2130) x1
O (0.9693, 0.9496, 0.2655) x1
O (0.9714, 0.4457, 0.7642) x1
F (0.4656, 0.4828, 0.7802) x1
F (0.4915, 0.9673, 0.2680) x1
F (0.9786, 0.0346, 0.7186) x1

Values from the calculation:
Formation energy   -1949 meV per atom
Magnetic moment   27.00 μB/f.u.
E above lowest polymorph   60 kJ/mol of formula units

No. 3
This record from the Materials Project describes crystalline Mn12O5F19 at its relaxed geometry. The functional is PBE with a Hubbard U.

a b c (Å): 4.8559 5.8185 16.0560
angles (deg): 89.57 89.67 86.43
Space group P1 (No. 1)
One atom of each set of equivalent atoms:
Mn (0.0000, 0.0000, 0.0000) x1
Mn (0.0003, 0.3134, 0.4853) x1
Mn (0.0091, 0.3233, 0.8340) x1
Mn (0.0187, 0.3180, 0.1563) x1
Mn (0.0214, 0.9901, 0.3288) x1
Mn (0.0365, 0.9802, 0.6622) x1
Mn (0.5030, 0.4959, 0.6608) x1
Mn (0.5041, 0.8128, 0.1753) x1
Mn (0.5137, 0.8189, 0.5047) x1
Mn (0.5222, 0.4893, 0.3321) x1
Mn (0.5306, 0.7971, 0.8348) x1
Mn (0.5490, 0.4848, 0.9966) x1
O (0.2988, 0.7591, 0.2836) x1
O (0.3008, 0.7518, 0.6135) x1
O (0.7352, 0.5355, 0.8941) x1
O (0.7973, 0.2578, 0.3765) x1
O (0.8045, 0.2696, 0.0499) x1
F (0.2495, 0.0323, 0.4342) x1
F (0.2529, 0.2566, 0.6024) x1
F (0.2537, 0.0305, 0.1057) x1
F (0.2559, 0.0389, 0.7776) x1
F (0.2585, 0.2467, 0.9406) x1
F (0.2649, 0.2610, 0.2655) x1
F (0.2808, 0.7562, 0.9501) x1
F (0.2907, 0.5359, 0.7739) x1
F (0.3129, 0.5244, 0.4419) x1
F (0.3187, 0.5271, 0.1028) x1
F (0.7513, 0.5315, 0.2249) x1
F (0.7541, 0.7724, 0.0641) x1
F (0.7582, 0.5302, 0.5590) x1
F (0.7618, 0.7524, 0.7229) x1
F (0.7667, 0.7559, 0.3940) x1
F (0.7824, 0.2588, 0.7163) x1
F (0.7962, 0.0315, 0.8854) x1
F (0.8034, 0.0384, 0.5534) x1
F (0.8110, 0.0285, 0.2197) x1

Values from the calculation:
Formation energy   -2656 meV per atom
Magnetic moment   55.00 μB/f.u.
E above lowest polymorph   21 kJ/mol of formula units

No. 4
This record from the Materials Project describes crystalline Mn6OF11 at its relaxed geometry. The functional is PBE with a Hubbard U.

a b c (Å): 4.9482 16.2489 7.5446
angles (deg): 90.00 129.12 90.00
Space group Pc (No. 7)
One atom of each set of equivalent atoms:
Mn (0.0000, 0.0007, 0.0000) x2
Mn (0.0341, 0.3454, 0.5056) x2
Mn (0.3294, 0.4982, 0.3307) x2
Mn (0.3460, 0.1686, 0.8365) x2
Mn (0.3608, 0.1703, 0.3454) x2
Mn (0.9986, 0.3349, 0.0005) x2
O (0.2848, 0.4539, 0.5600) x2
F (0.0446, 0.0605, 0.7727) x2
F (0.0472, 0.2776, 0.2774) x2
F (0.0731, 0.3931, 0.7870) x2
F (0.2917, 0.2264, 0.0604) x2
F (0.3045, 0.1085, 0.5646) x2
F (0.5062, 0.3896, 0.2912) x2
F (0.5082, 0.0580, 0.2752) x2
F (0.5131, 0.2780, 0.7716) x2
F (0.8185, 0.4426, 0.0641) x2
F (0.8420, 0.1116, 0.0671) x2
F (0.8502, 0.2324, 0.5579) x2

Values from the calculation:
Formation energy   -2833 meV per atom
Magnetic moment   29.00 μB/f.u.
E above lowest polymorph   29 kJ/mol of formula units

No. 5
This record from the Materials Project describes crystalline Mn6OF11 at its relaxed geometry. The functional is PBE with a Hubbard U.

a b c (Å): 9.6753 6.8666 7.7855
angles (deg): 90.00 111.25 90.00
Space group C2 (No. 5)
One atom of each set of equivalent atoms:
Mn (0.0000, 0.0000, 0.0000) x2
Mn (0.0000, 0.0275, 0.5000) x2
Mn (0.1574, 0.5363, 0.1577) x4
Mn (0.1673, 0.5310, 0.6681) x4
O (0.0000, 0.7253, 0.0000) x2
F (0.0000, 0.3081, 0.0000) x2
F (0.0652, 0.5281, 0.3706) x4
F (0.0989, 0.0237, 0.2929) x4
F (0.1672, 0.2240, 0.6657) x4
F (0.1749, 0.8382, 0.6725) x4
F (0.2272, 0.0215, 0.0333) x4

Values from the calculation:
Formation energy   -2837 meV per atom
Magnetic moment   29.00 μB/f.u.
E above lowest polymorph   23 kJ/mol of formula units

No. 6
This record from the Materials Project describes crystalline Mn6O7F5 at its relaxed geometry. The functional is PBE with a Hubbard U.

a b c (Å): 4.5935 5.6478 15.3085
angles (deg): 89.66 89.77 88.66
Space group P1 (No. 1)
One atom of each set of equivalent atoms:
Mn (0.0000, 0.0000, 0.0000) x1
Mn (0.0008, 0.0131, 0.6635) x1
Mn (0.0085, 0.7082, 0.8342) x1
Mn (0.0142, 0.7359, 0.1626) x1
Mn (0.4982, 0.2059, 0.8189) x1
Mn (0.5064, 0.5169, 0.6520) x1
Mn (0.5172, 0.5312, 0.3274) x1
Mn (0.5191, 0.1871, 0.1538) x1
Mn (0.5326, 0.5223, 0.9889) x1
Mn (0.5480, 0.2073, 0.4896) x1
Mn (0.9847, 0.7170, 0.5017) x1
Mn (0.9853, 0.9969, 0.3277) x1
O (0.2130, 0.9774, 0.7739) x1
O (0.2202, 0.7437, 0.6048) x1
O (0.2234, 0.9781, 0.1035) x1
O (0.2266, 0.7458, 0.9408) x1
O (0.2281, 0.7551, 0.2703) x1
O (0.7164, 0.2472, 0.7100) x1
O (0.7161, 0.4750, 0.8771) x1
O (0.7345, 0.4814, 0.5464) x1
O (0.7371, 0.2445, 0.3813) x1
O (0.7383, 0.2486, 0.0444) x1
O (0.7770, 0.9735, 0.5536) x1
O (0.7787, 0.9686, 0.2205) x1
O (0.7831, 0.7573, 0.3900) x1
O (0.7863, 0.7629, 0.0573) x1
F (0.2420, 0.9787, 0.4355) x1
F (0.2487, 0.4765, 0.7561) x1
F (0.2499, 0.2336, 0.9345) x1
F (0.2572, 0.4794, 0.4417) x1
F (0.2660, 0.2458, 0.2694) x1
F (0.2772, 0.2329, 0.5898) x1
F (0.2802, 0.4916, 0.1045) x1
F (0.7509, 0.9790, 0.8953) x1
F (0.7530, 0.7451, 0.7292) x1
F (0.7540, 0.4794, 0.2100) x1

Values from the calculation:
Formation energy   -2211 meV per atom
Magnetic moment   23.00 μB/f.u.
E above lowest polymorph   54 kJ/mol of formula units

No. 7
This record from the Materials Project describes crystalline Mn3O5F at its relaxed geometry. The functional is PBE with a Hubbard U.

a b c (Å): 6.4292 3.0162 10.1730
angles (deg): 90.00 108.38 90.00
Space group Pm (No. 6)
One atom of each set of equivalent atoms:
Mn (0.0000, 0.0000, 0.0000) x1
Mn (0.1484, 0.5000, 0.3284) x1
Mn (0.3282, 0.0000, 0.6536) x1
Mn (0.5089, 0.5000, 0.0157) x1
Mn (0.6831, 0.0000, 0.3396) x1
Mn (0.8362, 0.5000, 0.6685) x1
O (0.0320, 0.0000, 0.6694) x1
O (0.0704, 0.5000, 0.1290) x1
O (0.2684, 0.5000, 0.5312) x1
O (0.3097, 0.0000, 0.0012) x1
O (0.6041, 0.5000, 0.2109) x1
O (0.6407, 0.0000, 0.6691) x1
O (0.6943, 0.0000, 0.0019) x1
O (0.7327, 0.5000, 0.4662) x1
O (0.9375, 0.5000, 0.8726) x1
O (0.9707, 0.0000, 0.3329) x1
F (0.3671, 0.0000, 0.3341) x1
F (0.4010, 0.5000, 0.7991) x1

Values from the calculation:
Formation energy   -1940 meV per atom
Magnetic moment   10.00 μB/f.u.
E above lowest polymorph   9 kJ/mol of formula units

No. 8
This record from the Materials Project describes crystalline Mn6O7F5 at its relaxed geometry. The functional is PBE with a Hubbard U.

a b c (Å): 4.6129 5.6360 15.3785
angles (deg): 89.85 89.60 89.81
Space group P1 (No. 1)
One atom of each set of equivalent atoms:
Mn (0.0000, 0.0000, 0.0000) x1
Mn (0.0000, 0.2874, 0.8299) x1
Mn (0.0193, 0.0305, 0.6660) x1
Mn (0.4843, 0.8022, 0.5049) x1
Mn (0.4927, 0.5002, 0.0066) x1
Mn (0.5123, 0.4841, 0.3389) x1
Mn (0.5244, 0.8190, 0.8404) x1
Mn (0.5376, 0.4775, 0.6796) x1
Mn (0.5533, 0.7996, 0.1724) x1
Mn (0.9879, 0.0150, 0.3296) x1
Mn (0.9899, 0.2994, 0.1600) x1
Mn (0.9980, 0.3060, 0.4993) x1
O (0.2153, 0.2677, 0.3902) x1
O (0.2175, 0.0365, 0.8907) x1
O (0.2187, 0.2746, 0.0547) x1
O (0.2307, 0.0413, 0.5567) x1
O (0.2315, 0.2694, 0.7275) x1
O (0.7052, 0.5431, 0.4501) x1
O (0.7106, 0.7649, 0.9519) x1
O (0.7302, 0.7624, 0.2811) x1
O (0.7377, 0.5378, 0.1140) x1
O (0.7394, 0.5394, 0.7864) x1
O (0.7845, 0.2574, 0.2688) x1
O (0.7894, 0.0385, 0.1091) x1
O (0.7886, 0.0540, 0.7713) x1
O (0.7928, 0.2675, 0.6097) x1
F (0.2316, 0.7755, 0.3898) x1
F (0.2433, 0.5266, 0.8933) x1
F (0.2658, 0.0370, 0.2174) x1
F (0.2701, 0.5247, 0.2260) x1
F (0.2799, 0.5477, 0.5702) x1
F (0.2796, 0.7736, 0.0720) x1
F (0.2848, 0.7853, 0.7254) x1
F (0.7301, 0.0336, 0.4446) x1
F (0.7460, 0.2686, 0.9353) x1
F (0.7589, 0.7745, 0.6184) x1

Values from the calculation:
Formation energy   -2209 meV per atom
Magnetic moment   23.00 μB/f.u.
E above lowest polymorph   57 kJ/mol of formula units

No. 9
This record from the Materials Project describes crystalline Mn6O7F5 at its relaxed geometry. The functional is PBE with a Hubbard U.

a b c (Å): 4.6972 5.5823 7.7510
angles (deg): 85.92 88.59 88.43
Space group P1 (No. 1)
One atom of each set of equivalent atoms:
Mn (0.0000, 0.0000, 0.0000) x1
Mn (0.0026, 0.6648, 0.3310) x1
Mn (0.0092, 0.3482, 0.6490) x1
Mn (0.4691, 0.8281, 0.6692) x1
Mn (0.5259, 0.1860, 0.3383) x1
Mn (0.5531, 0.5189, 0.9910) x1
O (0.1948, 0.6267, 0.5530) x1
O (0.3141, 0.1351, 0.5642) x1
O (0.3175, 0.8013, 0.9017) x1
O (0.7058, 0.2159, 0.0986) x1
O (0.7079, 0.5484, 0.7583) x1
O (0.8205, 0.7177, 0.1098) x1
O (0.8214, 0.3763, 0.4286) x1
F (0.1959, 0.3013, 0.8910) x1
F (0.2165, 0.9695, 0.2476) x1
F (0.3160, 0.4821, 0.2134) x1
F (0.6985, 0.8648, 0.4449) x1
F (0.8139, 0.0538, 0.7500) x1

Values from the calculation:
Formation energy   -2218 meV per atom
Magnetic moment   23.00 μB/f.u.
E above lowest polymorph   41 kJ/mol of formula units

No. 10
This record from the Materials Project describes crystalline Mn6OF11 at its relaxed geometry. The functional is PBE with a Hubbard U.

a b c (Å): 4.9121 5.9323 8.2558
angles (deg): 87.87 89.04 89.07
Space group P1 (No. 1)
One atom of each set of equivalent atoms:
Mn (0.0000, 0.0000, 0.0000) x1
Mn (0.0008, 0.6816, 0.3152) x1
Mn (0.0287, 0.3237, 0.6463) x1
Mn (0.5165, 0.8299, 0.6542) x1
Mn (0.5197, 0.4967, 0.9859) x1
Mn (0.5346, 0.1498, 0.3112) x1
O (0.8076, 0.9685, 0.2168) x1
F (0.2068, 0.0285, 0.7633) x1
F (0.2110, 0.6990, 0.0852) x1
F (0.2340, 0.3585, 0.4101) x1
F (0.3251, 0.1970, 0.0879) x1
F (0.3249, 0.5298, 0.7515) x1
F (0.3274, 0.8703, 0.4188) x1
F (0.7114, 0.1280, 0.5461) x1
F (0.7144, 0.4513, 0.2202) x1
F (0.7182, 0.7914, 0.8821) x1
F (0.8234, 0.2944, 0.8805) x1
F (0.8291, 0.6235, 0.5510) x1

Values from the calculation:
Formation energy   -2836 meV per atom
Magnetic moment   29.01 μB/f.u.
E above lowest polymorph   25 kJ/mol of formula units

No. 11
This record from the Materials Project describes crystalline Mn3O4F2 at its relaxed geometry. The functional is PBE with a Hubbard U.

a b c (Å): 5.5671 4.5998 7.6946
angles (deg): 90.00 93.14 90.00
Space group P2_1 (No. 4)
One atom of each set of equivalent atoms:
Mn (0.0694, 0.0000, 0.3421) x2
Mn (0.2673, 0.4636, 0.0025) x2
Mn (0.4088, 0.9612, 0.6801) x2
O (0.1214, 0.1646, 0.5743) x2
O (0.2213, 0.6647, 0.7788) x2
O (0.2892, 0.2768, 0.2325) x2
O (0.4536, 0.1632, 0.8989) x2
F (0.0446, 0.7775, 0.0989) x2
F (0.3878, 0.7628, 0.4388) x2

Values from the calculation:
Formation energy   -2125 meV per atom
Magnetic moment   11.00 μB/f.u.
E above lowest polymorph   20 kJ/mol of formula units

No. 12
This record from the Materials Project describes crystalline Mn8O13F3 at its relaxed geometry. The functional is PBE with a Hubbard U.

a b c (Å): 4.5267 5.9736 9.3499
angles (deg): 90.00 94.12 90.00
Space group Pm (No. 6)
One atom of each set of equivalent atoms:
Mn (0.0000, 0.0000, 0.0000) x1
Mn (0.9998, 0.5000, 0.4998) x1
Mn (0.0332, 0.0000, 0.4858) x1
Mn (0.4641, 0.2507, 0.7635) x2
Mn (0.5304, 0.2427, 0.2388) x2
Mn (0.9932, 0.5000, 0.0040) x1
O (0.2197, 0.2510, 0.5890) x2
O (0.2240, 0.2504, 0.0825) x2
O (0.2625, 0.5000, 0.8391) x1
O (0.2663, 0.0000, 0.8426) x1
O (0.3279, 0.0000, 0.3226) x1
O (0.7312, 0.0000, 0.1603) x1
O (0.7349, 0.5000, 0.1605) x1
O (0.7795, 0.2514, 0.9147) x2
O (0.7973, 0.2481, 0.4068) x2
F (0.3181, 0.5000, 0.3272) x1
F (0.6863, 0.0000, 0.6750) x1
F (0.6950, 0.5000, 0.6710) x1

Values from the calculation:
Formation energy   -1974 meV per atom
Magnetic moment   27.00 μB/f.u.
E above lowest polymorph   0 kJ/mol of formula units